Record 1
Entry from Materials Project: a relaxed ZnP2H2O6 crystal (PBE).

Cell lengths 12.5694, 12.5694, 12.5694 Å; angles 115.62, 115.62, 115.62 degrees
Fractional positions:
1 Zn 0.3365 0.5691 0.9161
2 Zn 0.9161 0.3365 0.5691
3 Zn 0.5691 0.9161 0.3365
4 Zn 0.6635 0.4309 0.0839
5 Zn 0.0839 0.6635 0.4309
6 Zn 0.4309 0.0839 0.6635
7 P 0.9906 0.1982 0.7354
8 P 0.7354 0.9906 0.1982
9 P 0.1982 0.7354 0.9906
10 P 0.0094 0.8018 0.2646
11 P 0.2646 0.0094 0.8018
12 P 0.8018 0.2646 0.0094
13 P 0.5564 0.6057 0.2294
14 P 0.2294 0.5564 0.6057
15 P 0.6057 0.2294 0.5564
16 P 0.4436 0.3943 0.7706
17 P 0.7706 0.4436 0.3943
18 P 0.3943 0.7706 0.4436
19 H 0.0543 0.2658 0.8960
20 H 0.8960 0.0543 0.2658
21 H 0.2658 0.8960 0.0543
22 H 0.9457 0.7342 0.1040
23 H 0.1040 0.9457 0.7342
24 H 0.7342 0.1040 0.9457
25 H 0.6648 0.7247 0.4143
26 H 0.4143 0.6648 0.7247
27 H 0.7247 0.4143 0.6648
28 H 0.3352 0.2753 0.5857
29 H 0.5857 0.3352 0.2753
30 H 0.2753 0.5857 0.3352
31 O 0.0682 0.3565 0.7667
32 O 0.7667 0.0682 0.3565
33 O 0.3565 0.7667 0.0682
34 O 0.9318 0.6435 0.2333
35 O 0.2333 0.9318 0.6435
36 O 0.6435 0.2333 0.9318
37 O 0.4941 0.6721 0.1738
38 O 0.1738 0.4941 0.6721
39 O 0.6721 0.1738 0.4941
40 O 0.5059 0.3279 0.8262
41 O 0.8262 0.5059 0.3279
42 O 0.3279 0.8262 0.5059
43 O 0.5773 0.7805 0.0333
44 O 0.0333 0.5773 0.7805
45 O 0.7805 0.0333 0.5773
46 O 0.4227 0.2195 0.9667
47 O 0.9667 0.4227 0.2195
48 O 0.2195 0.9667 0.4227
49 O 0.3334 0.3951 0.7921
50 O 0.7921 0.3334 0.3951
51 O 0.3951 0.7921 0.3334
52 O 0.6666 0.6049 0.2079
53 O 0.2079 0.6666 0.6049
54 O 0.6049 0.2079 0.6666
55 O 0.0325 0.1037 0.6734
56 O 0.6734 0.0325 0.1037
57 O 0.1037 0.6734 0.0325
58 O 0.9675 0.8963 0.3266
59 O 0.3266 0.9675 0.8963
60 O 0.8963 0.3266 0.9675
61 O 0.3848 0.4102 0.1120
62 O 0.1120 0.3848 0.4102
63 O 0.4102 0.1120 0.3848
64 O 0.6152 0.5898 0.8880
65 O 0.8880 0.6152 0.5898
66 O 0.5898 0.8880 0.6152

Properties
Formation energy: -147 kJ per mole of atoms

Record 2
Entry from Materials Project: a relaxed Zn3P6H6O19 crystal (PBE).

Cell lengths 12.5600, 12.5600, 12.5600 Å; angles 115.71, 115.71, 115.71 degrees
Fractional positions:
1 Zn 0.1592 0.5805 0.9252
2 Zn 0.5805 0.9252 0.1592
3 Zn 0.9252 0.1592 0.5805
4 Zn 0.8408 0.4195 0.0748
5 Zn 0.4195 0.0748 0.8408
6 Zn 0.0748 0.8408 0.4195
7 P 0.8851 0.9307 0.2655
8 P 0.9307 0.2655 0.8851
9 P 0.2655 0.8851 0.9307
10 P 0.1149 0.0693 0.7345
11 P 0.0693 0.7345 0.1149
12 P 0.7345 0.1149 0.0693
13 P 0.4962 0.2400 0.7023
14 P 0.2400 0.7023 0.4962
15 P 0.7023 0.4962 0.2400
16 P 0.5038 0.7600 0.2977
17 P 0.7600 0.2977 0.5038
18 P 0.2977 0.5038 0.7600
19 H 0.9245 0.2423 0.1929
20 H 0.2423 0.1929 0.9245
21 H 0.1929 0.9245 0.2423
22 H 0.0755 0.7577 0.8071
23 H 0.7577 0.8071 0.0755
24 H 0.8071 0.0755 0.7577
25 H 0.5743 0.4073 0.7756
26 H 0.4073 0.7756 0.5743
27 H 0.7756 0.5743 0.4073
28 H 0.4257 0.5927 0.2244
29 H 0.5927 0.2244 0.4257
30 H 0.2244 0.4257 0.5927
31 O 0.8190 0.9965 0.3176
32 O 0.9965 0.3176 0.8190
33 O 0.3176 0.8190 0.9965
34 O 0.1810 0.0035 0.6824
35 O 0.0035 0.6824 0.1810
36 O 0.6824 0.1810 0.0035
37 O 0.8944 0.8332 0.3040
38 O 0.8332 0.3040 0.8944
39 O 0.3040 0.8944 0.8332
40 O 0.1056 0.1668 0.6960
41 O 0.1668 0.6960 0.1056
42 O 0.6960 0.1056 0.1668
43 O 0.0776 0.1016 0.3749
44 O 0.1016 0.3749 0.0776
45 O 0.3749 0.0776 0.1016
46 O 0.9224 0.8984 0.6251
47 O 0.8984 0.6251 0.9224
48 O 0.6251 0.9224 0.8984
49 O 0.5700 0.2703 0.8599
50 O 0.2703 0.8599 0.5700
51 O 0.8599 0.5700 0.2703
52 O 0.4300 0.7297 0.1401
53 O 0.7297 0.1401 0.4300
54 O 0.1401 0.4300 0.7297
55 O 0.2842 0.0874 0.5379
56 O 0.0874 0.5379 0.2842
57 O 0.5379 0.2842 0.0874
58 O 0.7158 0.9126 0.4621
59 O 0.9126 0.4621 0.7158
60 O 0.4621 0.7158 0.9126
61 O 0.5288 0.1668 0.6014
62 O 0.1668 0.6014 0.5288
63 O 0.6014 0.5288 0.1668
64 O 0.4712 0.8332 0.3986
65 O 0.8332 0.3986 0.4712
66 O 0.3986 0.4712 0.8332
67 O 0.2924 0.2924 0.2924
68 O 0.7076 0.7076 0.7076

Properties
Formation energy: -139 kJ per mole of atoms

Record 3
Entry from Materials Project: a relaxed Zn4P2H3O10 crystal (PBE).

Cell lengths 4.9078, 9.7675, 12.0402 Å; angles 119.78, 90.00, 90.00 degrees
Fractional positions:
1 Zn 0.4885 0.0000 0.7500
2 Zn 0.5115 0.0000 0.2500
3 Zn 0.8350 0.7203 0.5098
4 Zn 0.1650 0.2797 0.4902
5 Zn 0.8350 0.2797 0.9902
6 Zn 0.1650 0.7203 0.0098
7 Zn 0.5000 0.0000 0.0000
8 Zn 0.5000 0.0000 0.5000
9 P 0.9798 0.7570 0.7734
10 P 0.0202 0.2430 0.2266
11 P 0.9798 0.2430 0.7266
12 P 0.0202 0.7570 0.2734
13 H 0.7040 0.3399 0.3802
14 H 0.2960 0.6601 0.6198
15 H 0.7040 0.6601 0.1198
16 H 0.2960 0.3399 0.8802
17 H 0.0238 0.5000 0.7500
18 H 0.9762 0.5000 0.2500
19 O 0.0327 0.6398 0.8279
20 O 0.9673 0.3602 0.1721
21 O 0.0327 0.3602 0.6721
22 O 0.9673 0.6398 0.3279
23 O 0.0949 0.6535 0.6227
24 O 0.9051 0.3465 0.3773
25 O 0.0949 0.3465 0.8773
26 O 0.9051 0.6535 0.1227
27 O 0.6799 0.7734 0.7564
28 O 0.3201 0.2266 0.2436
29 O 0.6799 0.2266 0.7436
30 O 0.3201 0.7734 0.2564
31 O 0.8525 0.9050 0.3457
32 O 0.1475 0.0950 0.6543
33 O 0.8525 0.0950 0.1543
34 O 0.1475 0.9050 0.8457
35 O 0.5447 0.8658 0.5693
36 O 0.4553 0.1342 0.4307
37 O 0.5447 0.1342 0.9307
38 O 0.4553 0.8658 0.0693

Properties
Formation energy: -170 kJ per mole of atoms

Record 4
Entry from Materials Project: a relaxed Zn3P2H4O8 crystal (PBE).

Cell lengths 5.2763, 10.4530, 18.0254 Å; angles 90.00, 90.00, 90.00 degrees
Fractional positions:
1 Zn 0.2843 0.2518 0.2500
2 Zn 0.7157 0.7482 0.7500
3 Zn 0.7843 0.2482 0.7500
4 Zn 0.2157 0.7518 0.2500
5 Zn 0.1595 0.3504 0.0021
6 Zn 0.8405 0.6496 0.9979
7 Zn 0.6595 0.1496 0.9979
8 Zn 0.8405 0.6496 0.5021
9 Zn 0.3405 0.8504 0.0021
10 Zn 0.1595 0.3504 0.4979
11 Zn 0.3405 0.8504 0.4979
12 Zn 0.6595 0.1496 0.5021
13 P 0.1589 0.0921 0.0920
14 P 0.8411 0.9079 0.9080
15 P 0.6589 0.4079 0.9080
16 P 0.8411 0.9079 0.5920
17 P 0.3411 0.5921 0.0920
18 P 0.1589 0.0921 0.4080
19 P 0.3411 0.5921 0.4080
20 P 0.6589 0.4079 0.5920
21 H 0.2096 0.2269 0.7262
22 H 0.7904 0.7731 0.2738
23 H 0.7096 0.2731 0.2738
24 H 0.7904 0.7731 0.2262
25 H 0.2904 0.7269 0.7262
26 H 0.2096 0.2269 0.7738
27 H 0.2904 0.7269 0.7738
28 H 0.7096 0.2731 0.2262
29 H 0.8481 0.2291 0.2500
30 H 0.1519 0.7709 0.7500
31 H 0.3481 0.2709 0.7500
32 H 0.6519 0.7291 0.2500
33 H 0.4664 0.3685 0.2500
34 H 0.5336 0.6315 0.7500
35 H 0.9664 0.1315 0.7500
36 H 0.0336 0.8685 0.2500
37 O 0.2156 0.1457 0.1700
38 O 0.7844 0.8543 0.8300
39 O 0.7156 0.3543 0.8300
40 O 0.7844 0.8543 0.6700
41 O 0.2844 0.6457 0.1700
42 O 0.2156 0.1457 0.3300
43 O 0.2844 0.6457 0.3300
44 O 0.7156 0.3543 0.6700
45 O 0.2975 0.1756 0.0299
46 O 0.7025 0.8244 0.9701
47 O 0.7975 0.3244 0.9701
48 O 0.7025 0.8244 0.5299
49 O 0.2025 0.6756 0.0299
50 O 0.2975 0.1756 0.4701
51 O 0.2025 0.6756 0.4701
52 O 0.7975 0.3244 0.5299
53 O 0.2315 0.4559 0.0882
54 O 0.7685 0.5441 0.9118
55 O 0.7315 0.0441 0.9118
56 O 0.7685 0.5441 0.5882
57 O 0.2685 0.9559 0.0882
58 O 0.2315 0.4559 0.4118
59 O 0.2685 0.9559 0.4118
60 O 0.7315 0.0441 0.5882
61 O 0.3707 0.3977 0.5814
62 O 0.6293 0.6023 0.4186
63 O 0.8707 0.1023 0.4186
64 O 0.6293 0.6023 0.0814
65 O 0.1293 0.8977 0.5814
66 O 0.3707 0.3977 0.9186
67 O 0.1293 0.8977 0.9186
68 O 0.8707 0.1023 0.0814

Properties
Relative energy among the computed polymorphs: 0.000 eV/atom
Formation energy: -147 kJ per mole of atoms

Record 5
Entry from Materials Project: a relaxed Zn3P2H2O9 crystal (PBE).

Cell lengths 4.9408, 8.8147, 16.9951 Å; angles 84.81, 90.00, 90.00 degrees
Fractional positions:
1 Zn 0.9904 0.9199 0.1805
2 Zn 0.7043 0.5661 0.1536
3 Zn 0.2983 0.3300 0.0554
4 Zn 0.4904 0.0801 0.3195
5 Zn 0.2017 0.3300 0.5554
6 Zn 0.7017 0.6700 0.9446
7 Zn 0.2957 0.4339 0.8464
8 Zn 0.5096 0.9199 0.6805
9 Zn 0.0096 0.0801 0.8195
10 Zn 0.2043 0.4339 0.3464
11 Zn 0.7957 0.5661 0.6536
12 Zn 0.7983 0.6700 0.4446
13 P 0.7908 0.3148 0.9442
14 P 0.0089 0.2382 0.2168
15 P 0.9911 0.7618 0.7832
16 P 0.2908 0.6852 0.5558
17 P 0.2092 0.6852 0.0558
18 P 0.7092 0.3148 0.4442
19 P 0.5089 0.7618 0.2832
20 P 0.4911 0.2382 0.7168
21 H 0.0457 0.0676 0.4070
22 H 0.2147 0.9170 0.4345
23 H 0.2853 0.9170 0.9345
24 H 0.7853 0.0830 0.5655
25 H 0.4543 0.0676 0.9070
26 H 0.9543 0.9324 0.5930
27 H 0.7147 0.0830 0.0655
28 H 0.5457 0.9324 0.0930
29 O 0.7307 0.9732 0.0831
30 O 0.7325 0.7411 0.2182
31 O 0.3450 0.1976 0.6406
32 O 0.2325 0.2589 0.2818
33 O 0.6581 0.3847 0.7094
34 O 0.1550 0.1976 0.1406
35 O 0.7448 0.1830 0.3930
36 O 0.1680 0.9048 0.7585
37 O 0.8450 0.8024 0.8594
38 O 0.9031 0.6387 0.0484
39 O 0.2552 0.8170 0.6070
40 O 0.8547 0.4617 0.4035
41 O 0.7693 0.9732 0.5831
42 O 0.6453 0.4617 0.9035
43 O 0.6722 0.2774 0.0278
44 O 0.8419 0.3847 0.2094
45 O 0.5969 0.6387 0.5484
46 O 0.6550 0.8024 0.3594
47 O 0.2448 0.8170 0.1070
48 O 0.0969 0.3613 0.9516
49 O 0.3320 0.9048 0.2585
50 O 0.7552 0.1830 0.8930
51 O 0.8278 0.2774 0.5278
52 O 0.2675 0.2589 0.7818
53 O 0.7675 0.7411 0.7182
54 O 0.6680 0.0952 0.7415
55 O 0.8320 0.0952 0.2415
56 O 0.2693 0.0268 0.9169
57 O 0.3419 0.6153 0.2906
58 O 0.3547 0.5383 0.0965
59 O 0.1581 0.6153 0.7906
60 O 0.2307 0.0268 0.4169
61 O 0.1722 0.7226 0.4722
62 O 0.1453 0.5383 0.5965
63 O 0.3278 0.7226 0.9722
64 O 0.4031 0.3613 0.4516

Properties
Formation energy: -208 kJ per mole of atoms

Record 6
Entry from Materials Project: a relaxed ZnP2H8O10 crystal (PBE).

Cell lengths 7.1919, 7.2150, 8.6436 Å; angles 100.94, 106.82, 95.36 degrees
Fractional positions:
1 Zn 0.0000 0.0000 0.0000
2 Zn 0.0000 0.5000 0.5000
3 P 0.2612 0.6683 0.9183
4 P 0.7388 0.3317 0.0817
5 P 0.3486 0.3972 0.1325
6 P 0.6514 0.6028 0.8675
7 H 0.9752 0.1421 0.7194
8 H 0.0248 0.8579 0.2806
9 H 0.1604 0.0307 0.7543
10 H 0.8396 0.9693 0.2457
11 H 0.2581 0.8174 0.5168
12 H 0.7419 0.1826 0.4832
13 H 0.2680 0.6584 0.3670
14 H 0.7320 0.3416 0.6330
15 H 0.2028 0.2569 0.3827
16 H 0.7972 0.7431 0.6173
17 H 0.3374 0.3715 0.5661
18 H 0.6626 0.6285 0.4339
19 H 0.4167 0.1319 0.6714
20 H 0.5833 0.8681 0.3286
21 H 0.5200 0.9980 0.7747
22 H 0.4800 0.0020 0.2253
23 O 0.2186 0.4728 0.9778
24 O 0.7814 0.5272 0.0222
25 O 0.4954 0.6957 0.9480
26 O 0.5046 0.3043 0.0520
27 O 0.2315 0.8369 0.0358
28 O 0.7685 0.1631 0.9642
29 O 0.1510 0.6327 0.7388
30 O 0.8490 0.3673 0.2612
31 O 0.4448 0.5631 0.2788
32 O 0.5552 0.4369 0.7212
33 O 0.2224 0.2363 0.1583
34 O 0.7776 0.7637 0.8417
35 O 0.0350 0.0454 0.7764
36 O 0.9650 0.9546 0.2236
37 O 0.1745 0.7174 0.4187
38 O 0.8255 0.2826 0.5813
39 O 0.2025 0.3076 0.4970
40 O 0.7975 0.6924 0.5030
41 O 0.3960 0.0032 0.6909
42 O 0.6040 0.9968 0.3091

Properties
Relative energy among the computed polymorphs: 0.024 eV/atom
Formation energy: -172 kJ per mole of atoms

Record 7
Entry from Materials Project: a relaxed ZnP2H8O10 crystal (PBE).

Cell lengths 9.9609, 5.4152, 8.7231 Å; angles 56.75, 90.00, 90.00 degrees
Fractional positions:
1 Zn 0.0000 0.0000 0.0000
2 Zn 0.5000 0.0000 0.5000
3 P 0.2161 0.9115 0.3321
4 P 0.2839 0.9115 0.8321
5 P 0.7839 0.0885 0.6679
6 P 0.7161 0.0885 0.1679
7 H 0.0785 0.5795 0.8410
8 H 0.4215 0.5795 0.3410
9 H 0.9215 0.4205 0.1590
10 H 0.5785 0.4205 0.6590
11 H 0.9546 0.5712 0.7342
12 H 0.5454 0.5712 0.2342
13 H 0.0454 0.4288 0.2658
14 H 0.4546 0.4288 0.7658
15 H 0.1137 0.5519 0.5868
16 H 0.3863 0.5519 0.0868
17 H 0.8863 0.4481 0.4132
18 H 0.6137 0.4481 0.9132
19 H 0.2183 0.1161 0.4878
20 H 0.2817 0.1161 0.9878
21 H 0.7817 0.8839 0.5122
22 H 0.7183 0.8839 0.0122
23 O 0.1726 0.0199 0.1370
24 O 0.3274 0.0199 0.6370
25 O 0.8274 0.9801 0.8630
26 O 0.6726 0.9801 0.3630
27 O 0.3674 0.8673 0.3625
28 O 0.1326 0.8673 0.8625
29 O 0.6326 0.1327 0.6375
30 O 0.8674 0.1327 0.1375
31 O 0.1376 0.6117 0.4596
32 O 0.3624 0.6117 0.9596
33 O 0.8624 0.3883 0.5404
34 O 0.6376 0.3883 0.0404
35 O 0.1656 0.1427 0.3784
36 O 0.3344 0.1427 0.8784
37 O 0.8344 0.8573 0.6216
38 O 0.6656 0.8573 0.1216
39 O 0.0390 0.4621 0.7946
40 O 0.4610 0.4621 0.2946
41 O 0.9610 0.5379 0.2054
42 O 0.5390 0.5379 0.7054

Properties
Relative energy among the computed polymorphs: 0.000 eV/atom
Formation energy: -174 kJ per mole of atoms

> What is the formula in the seventh record?

ZnP2H8O10

Please write out number 6 again, unchanged.
Entry from Materials Project: a relaxed ZnP2H8O10 crystal (PBE).

Cell lengths 7.1919, 7.2150, 8.6436 Å; angles 100.94, 106.82, 95.36 degrees
Fractional positions:
1 Zn 0.0000 0.0000 0.0000
2 Zn 0.0000 0.5000 0.5000
3 P 0.2612 0.6683 0.9183
4 P 0.7388 0.3317 0.0817
5 P 0.3486 0.3972 0.1325
6 P 0.6514 0.6028 0.8675
7 H 0.9752 0.1421 0.7194
8 H 0.0248 0.8579 0.2806
9 H 0.1604 0.0307 0.7543
10 H 0.8396 0.9693 0.2457
11 H 0.2581 0.8174 0.5168
12 H 0.7419 0.1826 0.4832
13 H 0.2680 0.6584 0.3670
14 H 0.7320 0.3416 0.6330
15 H 0.2028 0.2569 0.3827
16 H 0.7972 0.7431 0.6173
17 H 0.3374 0.3715 0.5661
18 H 0.6626 0.6285 0.4339
19 H 0.4167 0.1319 0.6714
20 H 0.5833 0.8681 0.3286
21 H 0.5200 0.9980 0.7747
22 H 0.4800 0.0020 0.2253
23 O 0.2186 0.4728 0.9778
24 O 0.7814 0.5272 0.0222
25 O 0.4954 0.6957 0.9480
26 O 0.5046 0.3043 0.0520
27 O 0.2315 0.8369 0.0358
28 O 0.7685 0.1631 0.9642
29 O 0.1510 0.6327 0.7388
30 O 0.8490 0.3673 0.2612
31 O 0.4448 0.5631 0.2788
32 O 0.5552 0.4369 0.7212
33 O 0.2224 0.2363 0.1583
34 O 0.7776 0.7637 0.8417
35 O 0.0350 0.0454 0.7764
36 O 0.9650 0.9546 0.2236
37 O 0.1745 0.7174 0.4187
38 O 0.8255 0.2826 0.5813
39 O 0.2025 0.3076 0.4970
40 O 0.7975 0.6924 0.5030
41 O 0.3960 0.0032 0.6909
42 O 0.6040 0.9968 0.3091

Properties
Relative energy among the computed polymorphs: 0.024 eV/atom
Formation energy: -172 kJ per mole of atoms

> Which formula does entry 6 have?

ZnP2H8O10

> The lowest formation energy belongs to which entry?

Zn3P2H2O9